No. 1
DFT (PBE) results for a geometry-optimized Na2Si2Ge2SO12 structure.

Lattice parameters (Å, degrees): 8.594 8.594 21.803 89.86 90.14 119.90
Positions (direct):
S1 0.993 0.707 0.750
S2 0.959 0.340 0.584
S3 0.660 0.041 0.084
S4 0.293 0.007 0.250
S5 0.327 0.374 0.417
S6 0.626 0.673 0.917
O1 0.149 0.968 0.909
O2 0.836 0.528 0.744
O3 0.639 0.158 0.424
O4 0.880 0.369 0.639
O5 0.704 0.537 0.520
O6 0.972 0.825 0.091
O7 0.303 0.826 0.977
O8 0.846 0.497 0.423
O9 0.472 0.164 0.244
O10 0.840 0.030 0.810
O11 0.546 0.702 0.972
O12 0.366 0.518 0.076
O13 0.032 0.851 0.409
O14 0.139 0.497 0.577
O15 0.507 0.363 0.143
O16 0.881 0.499 0.144
O17 0.510 0.633 0.861
O18 0.804 0.842 0.190
O19 0.503 0.861 0.077
O20 0.358 0.851 0.578
O21 0.463 0.296 0.020
O22 0.370 0.870 0.853
O23 0.836 0.821 0.590
O24 0.130 0.630 0.353
O25 0.024 0.184 0.912
O26 0.816 0.976 0.412
O27 0.972 0.173 0.587
O28 0.305 0.839 0.254
O29 0.835 0.785 0.311
O30 0.305 0.492 0.758
O31 0.482 0.309 0.745
O32 0.494 0.362 0.421
O33 0.168 0.452 0.977
O34 0.512 0.830 0.756
O35 0.170 0.488 0.256
O36 0.215 0.165 0.811
O37 0.691 0.518 0.245
O38 0.175 0.028 0.591
O39 0.138 0.508 0.857
O40 0.827 0.028 0.087
O41 0.844 0.300 0.528
O42 0.805 0.830 0.910
O43 0.825 0.529 0.024
O44 0.034 0.823 0.695
O45 0.842 0.361 0.924
O46 0.367 0.490 0.361
O47 0.700 0.156 0.028
O48 0.548 0.832 0.477
O49 0.970 0.160 0.310
O50 0.631 0.120 0.139
O51 0.149 0.642 0.078
O52 0.298 0.454 0.472
O53 0.699 0.185 0.742
O54 0.174 0.697 0.477
O55 0.492 0.862 0.357
O56 0.177 0.966 0.195
O57 0.158 0.196 0.690
O58 0.482 0.634 0.576
O59 0.964 0.787 0.806
O60 0.503 0.154 0.923
O61 0.501 0.119 0.644
O62 0.637 0.493 0.643
O63 0.638 0.506 0.921
O64 0.471 0.175 0.524
O65 0.037 0.203 0.187
O66 0.170 0.195 0.410
O67 0.179 0.164 0.090
O68 0.815 0.301 0.242
O69 0.213 0.036 0.306
O70 0.797 0.963 0.687
O71 0.508 0.695 0.258
O72 0.161 0.695 0.754
Ge1 0.666 0.330 0.980
Ge2 0.999 0.997 0.646
Ge3 0.308 0.652 0.021
Ge4 0.348 0.692 0.521
Ge5 0.670 0.334 0.480
Ge6 0.641 0.319 0.688
Ge7 0.681 0.359 0.188
Ge8 0.003 0.001 0.146
Ge9 0.337 0.668 0.813
Ge10 0.014 0.026 0.854
Ge11 0.332 0.663 0.313
Ge12 0.974 0.986 0.354
Na1 0.035 0.336 0.086
Na2 0.335 0.653 0.667
Na3 0.347 0.665 0.167
Na4 0.001 0.986 0.000
Na5 0.702 0.669 0.420
Na6 0.668 0.320 0.334
Na7 0.664 0.965 0.586
Na8 0.014 0.999 0.500
Na9 0.680 0.332 0.834
Na10 0.331 0.298 0.920
Na11 0.998 0.631 0.253
Na12 0.369 0.002 0.753
Si1 0.950 0.628 0.083
Si2 0.617 0.961 0.416
Si3 0.706 0.716 0.249
Si4 0.052 0.669 0.416
Si5 0.664 0.615 0.583
Si6 0.998 0.281 0.249
Si7 0.385 0.336 0.083
Si8 0.372 0.050 0.583
Si9 0.284 0.294 0.749
Si10 0.331 0.948 0.916
Si11 0.039 0.383 0.916
Si12 0.719 0.002 0.749

Formation energy from the elements, eV per atom: -2.3482


No. 2
DFT (PBE) results for a geometry-optimized Na2Si3Ge4S3O24 structure.

Lattice parameters (Å, degrees): 8.521 8.442 22.042 90.84 90.77 119.82
Positions (direct):
O1 0.163 0.692 0.757
O2 0.840 0.294 0.528
O3 0.149 0.637 0.077
O4 0.490 0.190 0.238
O5 0.697 0.154 0.027
O6 0.193 0.485 0.258
O7 0.161 0.456 0.973
O8 0.827 0.531 0.022
O9 0.701 0.190 0.740
O10 0.964 0.788 0.806
O11 0.974 0.168 0.588
O12 0.366 0.508 0.074
O13 0.490 0.119 0.640
O14 0.852 0.821 0.591
O15 0.195 0.175 0.086
O16 0.453 0.296 0.026
O17 0.487 0.314 0.744
O18 0.793 0.955 0.691
O19 0.829 0.026 0.088
O20 0.202 0.041 0.310
O21 0.032 0.852 0.409
O22 0.481 0.638 0.576
O23 0.825 0.982 0.408
O24 0.633 0.496 0.644
O25 0.146 0.973 0.908
O26 0.626 0.118 0.137
O27 0.170 0.199 0.413
O28 0.357 0.859 0.579
O29 0.298 0.487 0.761
O30 0.456 0.155 0.529
O31 0.136 0.498 0.579
O32 0.037 0.824 0.696
O33 0.295 0.835 0.976
O34 0.838 0.529 0.744
O35 0.368 0.491 0.362
O36 0.173 0.701 0.480
O37 0.699 0.525 0.524
O38 0.506 0.627 0.862
O39 0.317 0.829 0.254
O40 0.024 0.194 0.913
O41 0.515 0.159 0.926
O42 0.839 0.036 0.813
O43 0.368 0.862 0.857
O44 0.967 0.824 0.091
O45 0.961 0.156 0.310
O46 0.825 0.787 0.304
O47 0.862 0.362 0.924
O48 0.160 0.195 0.688
O49 0.195 0.028 0.590
O50 0.550 0.836 0.477
O51 0.214 0.168 0.810
O52 0.300 0.457 0.473
O53 0.517 0.829 0.756
O54 0.539 0.697 0.973
O55 0.850 0.494 0.423
O56 0.496 0.861 0.355
O57 0.490 0.370 0.137
O58 0.831 0.310 0.245
O59 0.531 0.691 0.255
O60 0.170 0.954 0.188
O61 0.496 0.358 0.424
O62 0.854 0.489 0.142
O63 0.694 0.528 0.242
O64 0.122 0.618 0.358
O65 0.638 0.499 0.923
O66 0.033 0.195 0.187
O67 0.123 0.489 0.863
O68 0.503 0.855 0.075
O69 0.632 0.152 0.427
O70 0.875 0.365 0.640
O71 0.786 0.822 0.193
O72 0.801 0.830 0.912
Si1 0.330 0.957 0.916
Si2 0.624 0.956 0.415
Si3 0.051 0.673 0.418
Si4 0.664 0.619 0.583
Si5 0.947 0.620 0.085
Si6 0.285 0.289 0.749
Si7 0.719 0.008 0.750
Si8 0.293 0.008 0.251
Si9 0.010 0.285 0.252
S1 0.667 0.043 0.082
S2 0.000 0.712 0.750
S3 0.335 0.382 0.416
S4 0.956 0.336 0.584
S5 0.620 0.668 0.918
S6 0.375 0.044 0.583
S7 0.377 0.336 0.082
S8 0.044 0.379 0.916
S9 0.710 0.712 0.250
Na1 0.324 0.664 0.171
Na2 0.659 0.325 0.831
Na3 0.002 0.994 0.001
Na4 0.671 0.328 0.335
Na5 0.991 0.990 0.497
Na6 0.341 0.665 0.665
Ge1 0.686 0.349 0.475
Ge2 0.354 0.685 0.808
Ge3 0.007 0.990 0.154
Ge4 0.356 0.683 0.515
Ge5 0.311 0.679 0.313
Ge6 0.685 0.334 0.194
Ge7 0.647 0.328 0.688
Ge8 0.004 0.005 0.356
Ge9 0.982 0.001 0.647
Ge10 0.313 0.673 0.021
Ge11 0.660 0.333 0.982
Ge12 0.019 0.015 0.848

Formation energy from the elements, eV per atom: -2.2123